# Na2LiInCl6 (PBE, relaxed)
# * calculated formation energy: -1.77 eV/atom
# * energy: -32.46 eV per formula unit
# * total moment: 0.00 μB per cell
data_Na2LiInCl6
_chemical_formula_sum 'Na8 Li4 In4 Cl24'
_space_group_name_H-M_alt 'F m -3 m'
_space_group_IT_number 225
_space_group_name_Hall '-F 4 2 3'
_cell_length_a 10.0931
_cell_length_b 10.0931
_cell_length_c 10.0931
_cell_angle_alpha 90.00
_cell_angle_beta 90.00
_cell_angle_gamma 90.00
loop_
_atom_site_label
_atom_site_type_symbol
_atom_site_fract_x
_atom_site_fract_y
_atom_site_fract_z
_atom_site_occupancy
Na1 Na 0.2500 0.2500 0.2500 1
Li1 Li 0.0000 0.0000 0.0000 1
In1 In 0.0000 0.0000 0.5000 1
Cl1 Cl 0.0000 0.0000 0.2500 1